# Ca3Mn4O8 (PBE with a Hubbard U, optimized geometry)
# formation energy from the elements = -2.408 eV/atom
data_Ca3Mn4O8
_cell_length_a 11.276
_cell_length_b 6.095
_cell_length_c 11.727
_cell_angle_alpha 90.00
_cell_angle_beta 90.96
_cell_angle_gamma 90.00
_symmetry_space_group_name_H-M 'P 1 c 1'
_symmetry_Int_Tables_number 7
_symmetry_space_group_name_Hall 'P -2yc'
loop_
_atom_site_label
_atom_site_fract_x
_atom_site_fract_y
_atom_site_fract_z
Ca1 0.000 0.001 0.000
Ca2 0.223 0.256 0.719
Ca3 0.491 0.011 0.499
Ca4 0.503 0.496 0.499
Ca5 0.721 0.238 0.221
Ca6 0.988 0.490 0.000
Mn1 0.012 0.259 0.266
Mn2 0.250 0.486 0.969
Mn3 0.251 0.015 0.445
Mn4 0.430 0.259 0.224
Mn5 0.498 0.246 0.762
Mn6 0.749 0.010 0.468
Mn7 0.750 0.481 0.943
Mn8 0.945 0.241 0.735
O1 0.059 0.464 0.676
O2 0.064 0.023 0.683
O3 0.127 0.279 0.421
O4 0.138 0.256 0.924
O5 0.337 0.270 0.543
O6 0.351 0.263 0.051
O7 0.377 0.021 0.816
O8 0.378 0.467 0.825
O9 0.565 0.003 0.677
O10 0.567 0.498 0.684
O11 0.623 0.225 0.927
O12 0.640 0.241 0.419
O13 0.837 0.229 0.046
O14 0.851 0.238 0.541
O15 0.872 0.000 0.322
O16 0.874 0.494 0.814